# 1
The following is a DFT calculation (PBE) of an optimized crystal structure of Sb2S6O21.

a = 6.780 Å, b = 9.843 Å, c = 12.952 Å
α = 87.34°, β = 82.61°, γ = 81.91°
Fractional coordinates of all 58 atoms:
O  0.057  0.941  0.248
O  0.944  0.417  0.742
O  0.668  0.674  0.391
O  0.785  0.903  0.381
O  0.924  0.845  0.904
O  0.388  0.525  0.311
O  0.019  0.188  0.344
O  0.191  0.647  0.883
O  0.332  0.326  0.609
O  0.751  0.639  0.789
O  0.556  0.836  0.529
O  0.916  0.650  0.029
O  0.200  0.188  0.796
O  0.943  0.059  0.752
O  0.056  0.583  0.258
O  0.809  0.353  0.117
O  0.571  0.121  0.644
O  0.612  0.475  0.689
O  0.155  0.819  0.025
O  0.444  0.164  0.471
O  0.125  0.706  0.491
O  0.435  0.678  0.105
O  0.800  0.812  0.204
O  0.784  0.400  0.343
O  0.076  0.155  0.096
O  0.877  0.593  0.603
O  0.565  0.322  0.895
O  0.716  0.059  0.228
O  0.492  0.199  0.062
O  0.284  0.941  0.772
O  0.397  0.929  0.096
O  0.249  0.361  0.211
O  0.508  0.801  0.938
O  0.845  0.181  0.975
O  0.981  0.812  0.656
O  0.123  0.407  0.397
O  0.216  0.600  0.657
O  0.875  0.294  0.509
O  0.084  0.350  0.971
O  0.603  0.071  0.904
O  0.429  0.879  0.356
O  0.215  0.097  0.619
S  0.583  0.822  0.419
S  0.216  0.470  0.286
S  0.957  0.277  0.044
S  0.604  0.200  0.959
S  0.066  0.688  0.599
S  0.163  0.065  0.743
S  0.396  0.800  0.041
S  0.837  0.935  0.257
S  0.784  0.530  0.714
S  0.417  0.178  0.581
S  0.043  0.723  0.956
S  0.934  0.312  0.401
Sb  0.743  0.588  0.243
Sb  0.257  0.412  0.757
Sb  0.267  0.092  0.205
Sb  0.733  0.908  0.795

Properties
VASP energy, eV/atom: -5.9374

# 2
The following is a DFT calculation (PBE) of an optimized crystal structure of K2TbPCO7.

a = 7.171 Å, b = 5.851 Å, c = 10.028 Å
α = 88.03°, β = 90.00°, γ = 90.00°
Fractional coordinates of all 24 atoms:
K  0.489  0.247  0.781
K  0.989  0.753  0.219
K  0.511  0.753  0.219
K  0.011  0.247  0.781
O  0.250  0.444  0.177
O  0.250  0.067  0.154
O  0.571  0.228  0.353
O  0.750  0.552  0.456
O  0.429  0.772  0.647
O  0.750  0.556  0.823
O  0.250  0.448  0.544
O  0.250  0.844  0.430
O  0.750  0.156  0.570
O  0.071  0.772  0.647
O  0.750  0.933  0.846
O  0.750  0.698  0.031
O  0.250  0.302  0.969
O  0.929  0.228  0.353
Tb  0.250  0.218  0.370
Tb  0.750  0.782  0.630
P  0.750  0.290  0.431
P  0.250  0.710  0.569
C  0.750  0.729  0.906
C  0.250  0.271  0.094

Properties
VASP energy, eV/atom: -7.0647

# 3
The following is a DFT calculation (PBE) of an optimized crystal structure of Co2CuN2.

a = 3.210 Å, b = 3.205 Å, c = 7.014 Å
α = 90.00°, β = 116.54°, γ = 119.95°
Fractional coordinates of all 5 atoms:
Cu  0.000  0.000  0.500
Co  0.848  0.424  0.137
Co  0.152  0.576  0.863
N  0.581  0.791  0.190
N  0.419  0.209  0.810

Properties
Polymorph energy (0 for the lowest one), eV per atom: 0.000

# 4
The following is a DFT calculation (PBE) of an optimized crystal structure of CsCdN.

a = 12.127 Å, b = 3.926 Å, c = 7.381 Å
α = 90.00°, β = 90.00°, γ = 90.00°
Fractional coordinates of all 12 atoms:
Cd  0.558  0.250  0.617
Cd  0.942  0.750  0.117
Cd  0.058  0.250  0.883
Cd  0.442  0.750  0.383
N  0.085  0.750  0.779
N  0.415  0.250  0.279
N  0.585  0.750  0.721
N  0.915  0.250  0.221
Cs  0.344  0.750  0.944
Cs  0.156  0.250  0.444
Cs  0.656  0.250  0.056
Cs  0.844  0.750  0.556

Properties
VASP energy, eV/atom: -2.9563

# 5
The following is a DFT calculation (PBE) of an optimized crystal structure of EuSi2Pt.

a = 8.786 Å, b = 8.786 Å, c = 4.182 Å
α = 90.00°, β = 90.00°, γ = 151.23°
Fractional coordinates of all 8 atoms:
Pt  0.821  0.179  0.250
Pt  0.179  0.821  0.750
Eu  0.605  0.395  0.250
Eu  0.395  0.605  0.750
Si  0.748  0.252  0.750
Si  0.252  0.748  0.250
Si  0.963  0.037  0.250
Si  0.037  0.963  0.750

Properties
VASP energy, eV/atom: -7.6621

# 6
The following is a DFT calculation (PBE) of an optimized crystal structure of Sc2CI3.

a = 11.069 Å, b = 11.167 Å, c = 14.237 Å
α = 107.56°, β = 88.53°, γ = 119.21°
Fractional coordinates of all 48 atoms:
I  0.141  0.421  0.000
I  0.652  0.622  0.248
I  0.062  0.531  0.750
I  0.908  0.065  0.745
I  0.419  0.285  0.006
I  0.730  0.127  0.994
I  0.348  0.378  0.752
I  0.270  0.873  0.006
I  0.092  0.935  0.255
I  0.922  0.770  0.507
I  0.363  0.102  0.493
I  0.581  0.715  0.994
I  0.785  0.358  0.499
I  0.078  0.230  0.493
I  0.505  0.802  0.756
I  0.370  0.740  0.262
I  0.938  0.469  0.250
I  0.859  0.579  0.000
I  0.630  0.260  0.738
I  0.215  0.642  0.501
I  0.196  0.931  0.751
I  0.637  0.898  0.507
I  0.495  0.198  0.244
I  0.804  0.069  0.249
Sc  0.075  0.356  0.337
Sc  0.987  0.195  0.100
Sc  0.565  0.407  0.602
Sc  0.336  0.467  0.163
Sc  0.664  0.533  0.837
Sc  0.435  0.593  0.398
Sc  0.013  0.805  0.900
Sc  0.149  0.159  0.881
Sc  0.304  0.518  0.620
Sc  0.339  0.284  0.395
Sc  0.696  0.482  0.380
Sc  0.925  0.644  0.663
Sc  0.851  0.841  0.119
Sc  0.661  0.716  0.605
Sc  0.194  0.090  0.107
Sc  0.806  0.910  0.893
C  0.719  0.613  0.708
C  0.960  0.958  0.029
C  0.281  0.387  0.292
C  0.830  0.713  0.792
C  0.449  0.503  0.530
C  0.040  0.042  0.971
C  0.170  0.287  0.208
C  0.551  0.497  0.470

Properties
VASP energy, eV/atom: -5.4634

# 7
The following is a DFT calculation (PBE) of an optimized crystal structure of Pr2AgIr.

a = 5.177 Å, b = 5.177 Å, c = 5.177 Å
α = 60.00°, β = 60.00°, γ = 60.00°
Fractional coordinates of all 4 atoms:
Ir  0.000  0.000  0.000
Pr  0.750  0.750  0.750
Pr  0.250  0.250  0.250
Ag  0.500  0.500  0.500

Properties
VASP energy, eV/atom: -5.7297

# 8
The following is a DFT calculation (PBE) of an optimized crystal structure of TbNdNi2Ge4.

a = 4.220 Å, b = 4.174 Å, c = 8.600 Å
α = 75.96°, β = 90.00°, γ = 90.00°
Fractional coordinates of all 8 atoms:
Ni  0.750  0.319  0.361
Ni  0.250  0.680  0.640
Nd  0.250  0.892  0.215
Ge  0.750  0.747  0.506
Ge  0.250  0.251  0.499
Ge  0.250  0.543  0.914
Ge  0.750  0.459  0.081
Tb  0.750  0.108  0.783

Properties
VASP energy, eV/atom: -5.6599

# 9
The following is a DFT calculation (PBE) of an optimized crystal structure of NaH3Se2O6.

a = 5.959 Å, b = 4.690 Å, c = 11.224 Å
α = 69.18°, β = 90.00°, γ = 90.00°
Fractional coordinates of all 24 atoms:
Na  0.000  0.000  0.000
Na  0.500  0.000  0.500
O  0.655  0.467  0.651
O  0.368  0.848  0.965
O  0.854  0.966  0.799
O  0.146  0.034  0.201
O  0.345  0.533  0.349
O  0.354  0.034  0.701
O  0.632  0.152  0.035
O  0.155  0.533  0.849
O  0.646  0.966  0.299
O  0.132  0.848  0.465
O  0.868  0.152  0.535
O  0.845  0.467  0.151
Se  0.408  0.698  0.844
Se  0.592  0.302  0.156
Se  0.908  0.302  0.656
Se  0.092  0.698  0.344
H  0.473  0.199  0.692
H  0.027  0.199  0.192
H  0.527  0.801  0.308
H  0.500  0.000  0.000
H  0.973  0.801  0.808
H  0.000  0.000  0.500

Properties
Polymorph energy (0 for the lowest one), eV per atom: 0.026

# 10
The following is a DFT calculation (PBE) of an optimized crystal structure of TiCrAgS4.

a = 6.922 Å, b = 5.981 Å, c = 6.569 Å
α = 86.36°, β = 90.00°, γ = 90.00°
Fractional coordinates of all 14 atoms:
S  0.008  0.683  0.291
S  0.753  0.821  0.713
S  0.245  0.812  0.713
S  0.753  0.179  0.287
S  0.502  0.324  0.710
S  0.245  0.188  0.287
S  0.008  0.317  0.709
S  0.502  0.676  0.290
Ag  0.489  0.000  0.000
Ag  0.991  0.000  0.000
Ti  0.767  0.500  0.500
Ti  0.483  0.000  0.500
Cr  0.998  0.000  0.500
Cr  0.256  0.500  0.500

Properties
Polymorph energy (0 for the lowest one), eV per atom: 0.135

# 11
The following is a DFT calculation (PBE) of an optimized crystal structure of Ba6MgIr6O18.

a = 5.764 Å, b = 5.764 Å, c = 15.166 Å
α = 91.67°, β = 91.67°, γ = 119.32°
Fractional coordinates of all 31 atoms:
O  0.515  0.485  0.750
O  0.490  0.954  0.271
O  0.247  0.947  0.095
O  0.851  0.672  0.928
O  0.232  0.429  0.046
O  0.314  0.141  0.906
O  0.328  0.149  0.572
O  0.817  0.129  0.910
O  0.961  0.484  0.754
O  0.745  0.927  0.097
O  0.053  0.753  0.405
O  0.516  0.039  0.746
O  0.491  0.509  0.250
O  0.073  0.255  0.403
O  0.871  0.183  0.590
O  0.571  0.768  0.454
O  0.859  0.686  0.594
O  0.046  0.510  0.229
Ir  0.305  0.630  0.348
Ir  0.663  0.331  0.658
Ir  0.032  0.035  0.001
Ir  0.669  0.337  0.842
Ir  0.370  0.695  0.152
Ir  0.965  0.968  0.499
Ba  0.323  0.657  0.603
Ba  0.625  0.292  0.446
Ba  0.343  0.677  0.897
Ba  0.013  0.987  0.250
Ba  0.999  0.001  0.750
Ba  0.708  0.375  0.054
Mg  0.681  0.319  0.250

Properties
Polymorph energy (0 for the lowest one), eV per atom: 0.073

# 12
The following is a DFT calculation (PBE) of an optimized crystal structure of Mg4Sb2O9.

a = 5.246 Å, b = 5.635 Å, c = 11.863 Å
α = 98.23°, β = 102.75°, γ = 90.54°
Fractional coordinates of all 30 atoms:
O  0.219  0.024  0.728
O  0.982  0.483  0.263
O  0.426  0.652  0.597
O  0.877  0.673  0.058
O  0.372  0.580  0.166
O  0.628  0.420  0.834
O  0.123  0.327  0.942
O  0.639  0.136  0.596
O  0.574  0.348  0.403
O  0.781  0.976  0.272
O  0.061  0.230  0.503
O  0.724  0.908  0.834
O  0.361  0.864  0.404
O  0.276  0.092  0.166
O  0.707  0.183  0.068
O  0.018  0.517  0.737
O  0.939  0.770  0.497
O  0.293  0.817  0.932
Mg  0.383  0.671  0.770
Mg  0.534  0.839  0.095
Mg  0.777  0.516  0.580
Mg  0.114  0.829  0.232
Mg  0.886  0.171  0.768
Mg  0.223  0.484  0.420
Mg  0.466  0.161  0.905
Mg  0.617  0.329  0.230
Sb  0.714  0.029  0.427
Sb  0.944  0.651  0.894
Sb  0.056  0.349  0.106
Sb  0.286  0.971  0.573

Properties
VASP energy, eV/atom: -6.1027